1.
! UPt3 | the Materials Project | r²SCAN | relaxed; values from VASP
&SYSTEM
  ibrav = 0, nat = 8, ntyp = 2
/
ATOMIC_SPECIES
U 238.03 U.upf
Pt 195.08 Pt.upf
ATOMIC_POSITIONS angstrom
U 0.000 3.348 1.226
U 2.899 1.674 3.678
Pt 0.000 1.632 3.678
Pt -1.486 4.206 3.678
Pt 1.414 0.816 1.226
Pt 1.486 4.206 3.678
Pt 4.385 0.816 1.226
Pt 2.899 3.389 1.226
CELL_PARAMETERS angstrom
5.799 0.000 0.000
-2.899 5.022 0.000
0.000 0.000 4.904
! * ρ: 19.14 g cm⁻³
! * DFT formation energy: -911 meV per atom


2.
! CeNiSn | the Materials Project | r²SCAN | relaxed; values from VASP
&SYSTEM
  ibrav = 0, nat = 12, ntyp = 3
/
ATOMIC_SPECIES
Ce 140.12 Ce.upf
Ni 58.69 Ni.upf
Sn 118.71 Sn.upf
ATOMIC_POSITIONS angstrom
Ce 0.169 1.152 1.457
Ce 3.595 3.455 5.200
Ce 3.933 1.152 2.285
Ce 7.358 3.455 6.028
Ni 1.454 3.455 3.152
Ni 2.309 1.152 6.894
Ni 5.218 3.455 0.591
Ni 6.073 1.152 4.334
Sn 1.363 1.152 4.437
Sn 2.400 3.455 0.695
Sn 5.127 1.152 6.791
Sn 6.164 3.455 3.048
CELL_PARAMETERS angstrom
7.527 0.000 0.000
0.000 4.606 0.000
0.000 0.000 7.485
! * ρ: 8.13 g cm⁻³
! * DFT formation energy: -629 meV per atom